No. 1
First-principles (PBE with a Hubbard U) data for an optimized crystal structure of Mn2P2C12SO8F12, as listed in the Materials Project.

Summary:
crystal system: orthorhombic
total magnetic moment: 0.000 μB/f.u.
formation energy: -1.231 eV/atom

a b c (Å): 21.5504 8.8123 12.6179
angles (deg): 90.00 90.00 90.00
Closest atoms and distances in Å follow each position.
Space group Pna2_1 (No. 33)
One atom of each set of equivalent atoms:
1 Mn 0.0933 0.2247 0.0000 x4  4 C 1.84-1.88
2 Mn 0.1585 0.2588 0.3154 x4  4 C 1.83-1.87
3 P 0.0229 0.2556 0.1399 x4  2 C 1.93, 1 S 2.03
4 P 0.1760 0.2627 0.1277 x4  2 C 1.92
5 C 0.0197 0.5519 0.6346 x4  3 F 1.36-1.37
6 C 0.0297 0.1957 0.9046 x4  1 O 1.16
7 C 0.0502 0.8699 0.6292 x4  3 F 1.36
8 C 0.0920 0.4318 0.9679 x4  1 O 1.15
9 C 0.0942 0.0161 0.0296 x4  1 O 1.15
10 C 0.1396 0.4663 0.3202 x4  1 O 1.15
11 C 0.1450 0.2506 0.4592 x4  1 O 1.16
12 C 0.1492 0.1996 0.8902 x4  1 O 1.15
13 C 0.1650 0.0470 0.3124 x4  1 O 1.15
14 C 0.2207 0.4430 0.0906 x4  3 F 1.36-1.37
15 C 0.2409 0.2900 0.3443 x4  1 O 1.16
16 C 0.2428 0.1252 0.0956 x4  3 F 1.36-1.37
17 S 0.0475 0.2225 0.2932 x4  1 P 2.03
18 O 0.0079 0.8224 0.3406 x4  1 C 1.16
19 O 0.0908 0.5567 0.9409 x4  1 C 1.15
20 O 0.0935 0.8869 0.0437 x4  1 C 1.15
21 O 0.1253 0.5914 0.3305 x4  1 C 1.15
22 O 0.1393 0.2466 0.5503 x4  1 C 1.16
23 O 0.1673 0.9163 0.3145 x4  1 C 1.15
24 O 0.1809 0.1863 0.8171 x4  1 C 1.15
25 O 0.2081 0.8118 0.8689 x4  1 C 1.16
26 F 0.0213 0.5599 0.1601 x4  1 C 1.36
27 F 0.0328 0.0166 0.6123 x4  1 C 1.36
28 F 0.0416 0.5218 0.5352 x4  1 C 1.37
29 F 0.0682 0.5419 0.7027 x4  1 C 1.36
30 F 0.0855 0.8671 0.7181 x4  1 C 1.36
31 F 0.0868 0.8271 0.5463 x4  1 C 1.36
32 F 0.1867 0.5673 0.1189 x4  1 C 1.37
33 F 0.2101 0.6307 0.6673 x4  1 C 1.36
34 F 0.2209 0.9796 0.0962 x4  1 C 1.37
35 F 0.2234 0.9538 0.6400 x4  1 C 1.36
36 F 0.2312 0.6492 0.4983 x4  1 C 1.36
37 F 0.2318 0.4557 0.9841 x4  1 C 1.37



No. 2
First-principles (PBE with a Hubbard U) data for an optimized crystal structure of Sr2MnCO3F5, as listed in the Materials Project.

Summary:
crystal system: monoclinic
total magnetic moment: 4.001 μB/f.u.
formation energy: -3.136 eV/atom

a b c (Å): 5.5856 9.0641 13.9636
angles (deg): 90.00 106.94 90.00
Closest atoms and distances in Å follow each position.
Space group P2_1/c (No. 14)
One atom of each set of equivalent atoms:
1 Sr 0.1916 0.1451 0.4141 x4  6 F 2.47-2.74, 2 O 2.64-2.76
2 Sr 0.1938 0.6084 0.4020 x4  4 F 2.44-2.66, 3 O 2.63-2.72
3 Mn 0.3089 0.1265 0.6721 x4  5 F 1.90-2.12, 1 O 1.92
4 C 0.3190 0.6231 0.6364 x4  3 O 1.29-1.31
5 O 0.0862 0.6194 0.5837 x4  1 C 1.29
6 O 0.3636 0.6276 0.7337 x4  1 C 1.31
7 O 0.4949 0.6225 0.5940 x4  1 C 1.29
8 F 0.0183 0.6279 0.9319 x4  1 Mn 1.98
9 F 0.1554 0.5485 0.2281 x4  1 Mn 2.06
10 F 0.1788 0.2225 0.2368 x4  1 Mn 1.90
11 F 0.3897 0.2111 0.0763 x4  1 Mn 2.12
12 F 0.4263 0.5101 0.0893 x4  1 Mn 1.93



No. 3
First-principles (PBE with a Hubbard U) data for an optimized crystal structure of MnTeC5O6F5, as listed in the Materials Project.

Summary:
crystal system: orthorhombic
total magnetic moment: 0.000 μB/f.u.
formation energy: -1.400 eV/atom

a b c (Å): 12.6312 7.7943 12.7301
angles (deg): 90.00 90.00 90.00
Closest atoms and distances in Å follow each position.
Space group Pna2_1 (No. 33)
One atom of each set of equivalent atoms:
1 Mn 0.1360 0.0174 0.0000 x4  5 C 1.85-1.89
2 Te 0.0714 0.3650 0.8212 x4  1 O 1.84, 5 F 1.90-1.92
3 C 0.0022 0.9188 0.9727 x4  1 O 1.15
4 C 0.0842 0.1012 0.1298 x4  1 O 1.15
5 C 0.1827 0.8164 0.0618 x4  1 O 1.15
6 C 0.1889 0.9345 0.8708 x4  1 O 1.15
7 C 0.2367 0.6382 0.5264 x4  1 O 1.15
8 O 0.0526 0.1563 0.2074 x4  1 C 1.15
9 O 0.0705 0.2464 0.9462 x4  1 Te 1.84
10 O 0.0807 0.1363 0.4567 x4  1 C 1.15
11 O 0.1630 0.7190 0.5445 x4  1 C 1.15
12 O 0.2099 0.6876 0.0974 x4  1 C 1.15
13 O 0.2231 0.8767 0.7948 x4  1 C 1.15
14 F 0.0628 0.1687 0.7305 x4  1 Te 1.92
15 F 0.0666 0.4934 0.6946 x4  1 Te 1.90
16 F 0.0785 0.6118 0.3208 x4  1 Te 1.90
17 F 0.0807 0.5810 0.8905 x4  1 Te 1.90
18 F 0.2219 0.3672 0.8036 x4  1 Te 1.91



No. 4
First-principles (PBE with a Hubbard U) data for an optimized crystal structure of V2C12N3F9, as listed in the Materials Project.

Summary:
crystal system: monoclinic
total magnetic moment: 4.000 μB/f.u.
formation energy: 0.384 eV/atom

a b c (Å): 7.5187 17.2986 7.7236
angles (deg): 90.00 118.61 90.00
Closest atoms and distances in Å follow each position.
Space group P2_1 (No. 4)
One atom of each set of equivalent atoms:
1 V 0.1700 0.0000 0.3359 x2  3 F 1.78-1.82
2 V 0.1709 0.1674 0.3348 x2  3 F 1.78-1.81
3 C 0.0144 0.9123 0.7530 x2  1 C 1.51, 1 N 1.53
4 C 0.0187 0.2537 0.7448 x2  1 C 1.50, 1 N 1.52
5 C 0.1640 0.7019 0.3339 x2  3 C 1.47-1.52
6 C 0.1694 0.4639 0.3426 x2  3 C 1.45-1.52
7 C 0.2035 0.4125 0.2020 x2  1 C 1.52, 1 N 1.54
8 C 0.2184 0.7545 0.2090 x2  1 C 1.52, 1 N 1.54
9 C 0.2933 0.7451 0.5155 x2  1 C 1.47, 1 N 1.48
10 C 0.2962 0.4210 0.5209 x2  1 C 1.45, 1 N 1.46
11 C 0.3168 0.0695 0.9160 x2  1 C 1.49, 1 N 1.52
12 C 0.3876 0.5665 0.8180 x2  1 C 1.47, 1 N 1.49
13 C 0.4287 0.5702 0.1107 x2  1 C 1.51, 1 N 1.53
14 C 0.4992 0.5194 0.9967 x2  3 C 1.47-1.51
15 N 0.1758 0.8008 0.3559 x2  3 C 1.48-1.54
16 N 0.1819 0.3662 0.3612 x2  3 C 1.46-1.54
17 N 0.4946 0.6201 0.9873 x2  3 C 1.49-1.53
18 F 0.0243 0.0839 0.1329 x2  2 V 2.02-2.03
19 F 0.0614 0.4459 0.7331 x2  1 V 1.82
20 F 0.0618 0.7200 0.7326 x2  1 V 1.81
21 F 0.0988 0.0836 0.4728 x2  2 V 2.01-2.02
22 F 0.2345 0.9534 0.1687 x2  1 V 1.78
23 F 0.2351 0.2140 0.1669 x2  1 V 1.78
24 F 0.3163 0.9536 0.5687 x2  1 V 1.79
25 F 0.3204 0.2129 0.5682 x2  1 V 1.79
26 F 0.3862 0.0833 0.3963 x2  2 V 2.05